Below is a relaxed structure of CuSb2O4, with properties calculated at the PBE level.

Structure (CIF):
```
data_CuSb2O4
_chemical_formula_sum 'Cu4 Sb8 O16'
_cell_length_a 8.9146
_cell_length_b 8.9146
_cell_length_c 5.8916
_cell_angle_alpha 90.00
_cell_angle_beta 90.00
_cell_angle_gamma 90.00
_symmetry_space_group_name_H-M 'P 42/m b c'
_symmetry_Int_Tables_number 135
_symmetry_space_group_name_Hall '-P 4c 2ab'
loop_
_atom_site_label
_atom_site_fract_x
_atom_site_fract_y
_atom_site_fract_z
Cu1 0.0000 0.5000 0.2500
Sb1 0.1523 0.1889 0.0000
O1 0.0912 0.3808 0.5000
O2 0.1964 0.6964 0.2500
```

Calculated volume (Å³ per atom): 16.72
Formation energy from the elements (eV per atom): -1.479
Size of the total moment (μB per cell): 4.000

Below is a relaxed structure of Ba3GeO5, with properties calculated at the PBE level.

Structure (CIF):
```
data_Ba3GeO5
_chemical_formula_sum 'Ba27 Ge9 O45'
_cell_length_a 8.0650
_cell_length_b 8.0650
_cell_length_c 28.7939
_cell_angle_alpha 90.00
_cell_angle_beta 90.00
_cell_angle_gamma 120.00
_symmetry_space_group_name_H-M 'R 3 m'
_symmetry_Int_Tables_number 160
_symmetry_space_group_name_Hall 'R 3 -2"'
loop_
_atom_site_label
_atom_site_fract_x
_atom_site_fract_y
_atom_site_fract_z
Ba1 0.0024 0.5012 0.0000
Ba2 0.0204 0.5102 0.2225
Ba3 0.1768 0.3536 0.1109
Ge1 0.0000 0.0000 0.2178
Ge2 0.0000 0.0000 0.7767
Ge3 0.0000 0.0000 0.9981
O1 0.0000 0.0000 0.1554
O2 0.0000 0.0000 0.3847
O3 0.0000 0.0000 0.4994
O4 0.0000 0.0000 0.6115
O5 0.0000 0.0000 0.7148
O6 0.0000 0.0000 0.9356
O7 0.0916 0.5458 0.6858
O8 0.0926 0.5463 0.9058
O9 0.2121 0.4243 0.4634
```

Calculated volume (Å³ per atom): 20.02
Formation energy from the elements (eV per atom): -2.828
Size of the total moment (μB per cell): 0.005